28
Lattice="-4.8110 1.0283 -7.0591 1.1497 -4.9603 -1.5061 -6.4910 -2.7271 4.0265" Properties=species:S:1:pos:R:3 comment="LiMnPO4, optimized geometry, DFT GGA+U" spacegroup="Pna2_1 (33)" m_tot_mub_per_atom=0.714 delta_e_f_mev_per_atom=-2544 pbc="T T T"
O -5.5521 -1.8026 -0.8396
O -9.7042 -4.7438 -3.6820
O -2.7196 -3.4546 -4.5097
O -4.4908 -1.5578 -4.6999
O -1.8998 -4.7157 -1.6821
O -0.7113 -0.7800 -0.5119
O -5.1801 -3.9250 -6.7565
O -3.2159 -1.9030 -2.5565
O -7.4606 -3.0833 0.0077
O -6.7288 -5.6513 -2.2540
O -5.4499 -6.0142 -0.1160
O -2.3750 -2.1129 0.6947
O -4.8632 -3.7213 -3.3546
O -7.8055 -4.4252 -5.1965
O -4.7648 -3.6292 1.9460
O -8.0408 -2.8564 -3.1339
P -8.7449 -3.6093 -4.2692
P -1.9675 -0.6334 0.4643
P -6.8988 -1.6368 0.0037
P -3.8134 -2.6060 -3.8088
Li -4.0328 -2.9366 0.2664
Li -1.3081 -1.4617 -2.5110
Li -5.9173 -4.5954 -5.0701
Li -8.6419 -6.0698 -2.2927
Mn -6.5176 -3.5879 -1.9459
Mn -4.5401 -7.0035 1.4525
Mn -3.1300 -5.2476 -3.2538
Mn -5.1079 -1.8319 -6.6521